[1]
Na3CrB2O6 | Materials Project | PBE+U | relaxed; E = -319.93 eV for the cell shown; volume = 132 Å³/f.u.
1.0
5.524 0.000 0.000
0.000 9.214 0.000
-4.735 0.000 10.392
Na Cr B O
12 4 8 24
Cartesian
-0.608 0.562 1.414
-2.975 4.045 6.610
-3.842 5.810 9.094
-1.475 8.010 3.898
-0.505 0.408 6.478
1.863 4.199 1.282
-1.073 5.015 9.109
1.294 8.806 3.914
2.264 1.203 6.494
4.631 3.403 1.298
3.765 5.169 3.782
1.397 8.652 8.978
-1.547 1.977 9.114
0.820 2.630 3.919
-0.031 6.584 6.473
2.336 7.236 1.277
-1.580 1.873 3.984
-3.947 2.734 9.180
1.951 1.245 1.411
-0.416 3.362 6.607
1.205 5.852 3.784
-1.162 7.969 8.980
4.737 6.480 1.211
2.369 7.341 6.407
-3.469 1.490 8.804
-1.102 3.117 3.608
0.533 6.185 0.972
-1.834 7.635 6.168
-0.541 0.932 4.115
-2.908 3.675 9.311
1.023 2.176 1.924
-1.344 2.431 7.120
0.091 6.343 4.455
-2.276 7.478 9.651
-0.716 4.703 6.781
1.652 9.117 1.585
-0.862 0.097 8.806
1.505 4.510 3.611
3.065 1.736 0.740
0.698 2.871 5.936
2.133 6.783 3.272
-0.234 7.037 8.467
3.697 5.539 1.081
1.330 8.281 6.276
2.623 1.579 4.223
0.256 3.028 9.419
1.891 6.097 6.784
4.259 7.724 1.588

[2]
Na6Cr2B4PO16 | Materials Project | PBE+U | relaxed; E = -386.15 eV for the cell shown; volume = 344 Å³/f.u.
1.0
0.000 7.006 7.006
7.006 0.000 7.006
7.006 7.006 0.000
Na Cr B P O
12 4 8 2 32
Cartesian
5.255 5.255 1.239
5.255 1.239 5.255
9.271 5.255 5.255
8.758 8.758 4.742
8.758 4.742 8.758
12.774 8.758 8.758
1.239 5.255 5.255
5.255 9.271 5.255
5.255 5.255 9.271
4.742 8.758 8.758
8.758 12.774 8.758
8.758 8.758 12.774
7.006 3.503 3.503
3.503 7.006 3.503
3.503 3.503 7.006
7.006 7.006 7.006
4.051 4.051 4.051
6.458 6.458 4.051
6.458 4.051 6.458
9.961 7.554 7.554
4.051 6.458 6.458
7.554 9.961 7.554
7.554 7.554 9.961
9.961 9.961 9.961
1.752 1.752 1.752
12.261 12.261 12.261
0.854 0.854 0.854
2.650 2.650 0.854
2.650 0.854 2.650
6.733 5.408 3.196
5.101 3.196 3.777
7.314 3.777 5.408
0.854 2.650 2.650
3.777 5.101 3.196
7.314 6.733 5.101
5.408 3.196 6.733
10.236 8.604 6.699
8.911 6.699 7.280
10.817 7.280 8.604
5.408 7.314 3.777
3.196 3.777 5.101
6.733 5.101 7.314
7.280 8.911 6.699
10.817 10.236 8.911
8.604 6.699 10.236
3.196 6.733 5.408
5.101 7.314 6.733
3.777 5.408 7.314
8.604 10.817 7.280
6.699 7.280 8.911
10.236 8.911 10.817
13.159 11.363 11.363
6.699 10.236 8.604
8.911 10.817 10.236
7.280 8.604 10.817
11.363 13.159 11.363
11.363 11.363 13.159
13.159 13.159 13.159

[3]
CrNi2BO5 | Materials Project | PBE+U | relaxed; E = -241.97 eV for the cell shown; volume = 86 Å³/f.u.
1.0
9.312 0.000 0.000
0.000 12.241 0.000
0.000 0.000 3.032
Cr Ni B O
4 8 4 20
Cartesian
2.244 1.385 0.000
2.412 7.506 0.000
6.900 4.735 0.000
7.068 10.855 0.000
0.000 0.000 1.516
0.000 6.120 0.000
0.008 3.452 1.516
4.648 9.572 1.516
4.656 0.000 0.000
4.656 6.120 1.516
4.664 2.669 1.516
9.304 8.789 1.516
2.117 10.529 0.000
2.539 4.409 0.000
6.773 7.832 0.000
7.195 1.712 0.000
1.010 1.752 1.516
1.095 7.063 1.516
1.161 4.391 0.000
1.408 11.732 0.000
1.418 9.327 0.000
3.238 3.207 0.000
3.247 5.612 0.000
3.495 10.511 0.000
3.561 0.943 1.516
3.646 7.872 1.516
5.666 4.368 1.516
5.751 11.298 1.516
5.817 1.729 0.000
6.064 6.629 0.000
6.074 9.033 0.000
7.894 2.913 0.000
7.903 0.509 0.000
8.151 7.849 0.000
8.217 5.177 1.516
8.302 10.489 1.516

[4]
Cr2BP3O12 | Materials Project | PBE+U | relaxed; E = -274.03 eV for the cell shown; volume = 213 Å³/f.u.
1.0
8.086 0.000 0.000
-4.043 7.003 0.000
0.000 0.000 7.528
Cr B P O
4 2 6 24
Cartesian
0.000 4.668 0.464
0.000 4.668 3.300
4.043 2.334 4.228
4.043 2.334 7.063
0.000 0.000 1.882
0.000 0.000 5.646
-1.072 2.551 5.646
-1.298 6.656 5.646
1.673 2.204 1.882
2.370 4.799 5.646
5.341 0.347 1.882
5.115 4.452 1.882
-3.068 6.045 1.882
-1.421 4.227 1.882
0.342 1.323 1.882
-0.440 3.054 4.329
-0.440 3.054 6.963
1.316 0.366 5.646
-1.178 5.857 4.329
-1.178 5.857 6.963
1.093 3.658 1.882
2.424 1.908 0.565
2.424 1.908 3.199
0.328 6.120 1.882
3.715 0.883 5.646
1.619 5.095 4.329
1.619 5.095 6.963
2.950 3.344 5.646
5.221 1.146 0.565
5.221 1.146 3.199
2.727 6.637 1.882
4.483 3.949 0.565
4.483 3.949 3.199
3.701 5.680 5.646
5.464 2.776 5.646
7.111 0.957 5.646

[5]
YCrB2O6 | Materials Project | PBE+U | relaxed; E = -334.85 eV for the cell shown; volume = 106 Å³/f.u.
1.0
1.842 4.173 -1.566
-4.659 -0.275 1.215
2.665 3.792 20.666
O B Y Cr
24 8 4 4
Cartesian
2.204 4.075 16.628
-0.059 1.829 6.619
-2.278 2.690 6.931
-1.053 5.697 19.557
-2.358 3.615 3.685
-0.975 1.852 9.403
-2.458 0.880 4.440
-1.319 2.854 1.068
-1.495 3.965 11.983
2.125 5.000 13.385
-0.093 5.861 13.698
0.422 4.293 0.257
0.384 3.562 14.196
0.823 5.839 10.915
1.343 3.726 8.334
1.166 4.836 19.244
-0.017 2.016 3.539
1.423 2.801 11.580
2.305 6.810 15.873
-0.136 5.675 16.774
0.899 1.993 0.754
-0.576 3.398 20.055
-0.536 4.129 6.120
-1.575 4.890 8.738
-3.789 0.675 4.768
0.012 3.059 0.739
-1.905 2.732 12.466
-0.166 4.631 19.572
0.794 4.795 13.713
1.753 4.959 7.851
-0.946 2.895 6.603
3.636 7.015 15.545
-0.076 3.846 10.159
-1.036 3.681 16.019
4.506 7.965 19.099
0.883 4.009 4.295
-1.888 1.867 2.754
1.735 5.823 17.558
-2.847 1.703 8.618
2.695 5.988 11.700

[6]
FeCu2BO5 | Materials Project | PBE+U | relaxed; E = -228.23 eV for the cell shown; offset from the most stable computed form = 0 meV/atom; volume = 91 Å³/f.u.
1.0
3.135 0.000 0.000
0.000 12.189 0.000
-1.289 0.000 9.565
Fe Cu B O
4 8 4 20
Cartesian
-0.128 1.436 2.243
-0.772 4.659 7.025
2.619 7.530 2.540
1.974 10.753 7.322
-0.644 0.000 4.782
0.000 6.094 0.000
1.415 8.807 0.091
0.770 9.476 4.874
1.568 0.000 0.000
0.923 6.094 4.782
1.076 2.712 4.691
0.432 3.382 9.474
-0.833 1.629 7.300
-0.188 4.466 2.518
2.035 7.723 7.047
2.679 10.560 2.265
-1.017 7.690 8.426
-0.373 10.593 3.644
-0.916 0.463 8.036
-0.272 5.632 3.253
-0.701 2.848 7.923
-0.056 3.246 3.141
1.085 7.167 1.216
0.440 11.116 5.998
1.024 7.863 3.833
0.380 10.421 8.615
1.467 1.768 0.950
0.822 4.326 5.732
1.406 1.073 3.566
0.762 5.022 8.349
1.903 8.943 6.424
2.547 9.341 1.642
2.118 6.557 6.312
2.763 11.726 1.529
2.219 1.596 5.921
2.864 4.499 1.139

[7]
FeCu2BO5 | Materials Project | PBE+U | relaxed; E = -227.80 eV for the cell shown; offset from the most stable computed form = 12 meV/atom; volume = 92 Å³/f.u.
1.0
3.145 0.000 0.000
1.425 9.642 0.000
0.098 0.108 12.148
Fe Cu B O
4 8 4 20
Cartesian
0.000 0.000 0.000
0.840 4.946 3.195
3.519 4.607 9.317
3.362 2.243 4.703
2.285 7.051 8.026
1.735 2.275 7.372
2.461 7.137 4.680
1.812 2.352 10.738
1.831 2.327 1.971
2.623 7.180 1.258
4.179 9.312 6.103
4.091 7.181 10.728
3.564 4.868 6.290
4.342 9.702 9.079
3.761 4.545 0.224
4.545 9.362 3.033
0.717 3.936 1.463
1.511 8.728 1.813
1.983 5.917 9.671
2.427 8.019 6.418
1.913 3.300 8.994
1.891 3.343 3.715
1.613 1.302 0.343
2.383 6.147 2.895
1.789 1.329 5.599
3.074 8.439 11.803
3.448 5.514 7.498
2.809 0.669 7.853
3.601 5.570 5.096
2.990 0.808 10.250
3.721 5.930 0.180
3.088 1.110 3.049
3.653 3.490 6.270
4.402 8.316 9.147
3.777 3.906 11.218
4.443 8.640 4.201

[8]
Dy3BWO9 | Materials Project | PBE+U | relaxed; E = -229.56 eV for the cell shown; volume = 172 Å³/f.u.
1.0
8.576 0.000 0.000
-4.288 7.427 0.000
0.000 0.000 5.397
Dy B W O
6 2 2 18
Cartesian
-2.426 5.366 0.000
0.854 2.643 0.000
2.716 0.582 2.699
1.572 6.845 0.000
3.434 4.784 2.699
6.714 2.061 2.699
0.000 0.000 0.941
0.000 0.000 3.640
0.000 4.951 2.929
4.288 2.476 0.230
-3.253 6.517 3.592
0.270 1.351 3.592
-1.107 3.847 4.176
1.305 0.442 0.893
-0.243 3.426 1.800
-1.200 5.925 1.800
-0.403 6.462 4.176
2.845 1.923 4.499
1.510 4.545 4.176
2.778 2.882 1.478
1.443 5.503 1.800
4.691 0.965 1.478
5.488 1.502 4.499
4.531 4.001 4.499
2.982 6.985 3.592
5.395 3.580 1.478
4.018 6.075 0.893
7.540 0.910 0.893

[9]
ErFe3B4O12 | Materials Project | PBE+U | relaxed; E = -152.61 eV for the cell shown; volume = 204 Å³/f.u.
1.0
4.808 2.776 2.549
-4.808 2.776 2.549
0.000 -5.552 2.549
Er Fe B O
1 3 4 12
Cartesian
0.000 0.000 0.000
-2.164 -1.805 2.549
-0.481 2.776 2.549
-2.163 1.805 5.098
-4.313 0.000 3.823
2.157 -3.735 3.823
0.000 0.000 3.823
2.157 3.735 3.823
-3.687 -1.233 3.730
-1.961 -3.396 3.823
-3.687 1.233 3.917
-0.692 -1.198 3.823
0.776 -3.809 3.917
-0.692 1.198 3.823
-1.961 3.396 3.823
2.911 -2.576 3.730
1.383 0.000 3.823
0.776 3.809 3.730
3.922 0.000 3.823
2.911 2.576 3.917